5
Lattice="4.2685 0.0000 0.0000 0.0000 4.2685 0.0000 0.0000 0.0000 4.2685" Properties=species:S:1:pos:R:3 comment="EuTmO3 (PBE, relaxed)" energy_mp2020_ev_per_atom=-9.11 e_tot_ev_per_cell=-43.5 vol_a3_per_cell=77.8 magnetic_moment_mub_per_cell=6.00 delta_e_f_mev_per_atom=-3191.1 pbc="T T T"
Eu 0.0000 0.0000 0.0000
Tm 2.1343 2.1343 2.1343
O 0.0000 2.1343 2.1343
O 2.1343 0.0000 2.1343
O 2.1343 2.1343 0.0000

12
Lattice="8.0591 0.0000 0.0000 0.0000 2.5552 4.4230 0.0000 -2.5552 4.4230" Properties=species:S:1:pos:R:3 comment="ZrVCo (PBE, relaxed)" e_tot_ev_per_cell=-101.8 vol_a3_per_cell=182.2 magnetic_moment_mub_per_cell=0.00 delta_e_f_mev_per_atom=-233.8 pbc="T T T"
Zr 1.4349 0.0000 0.0000
Zr 2.4446 0.0000 5.9178
Zr 5.6144 0.0000 5.9178
Zr 6.6242 0.0000 0.0000
V 1.9166 0.0000 2.9403
V 4.0295 -1.2863 3.7589
V 4.0295 1.2863 3.7589
V 6.1425 0.0000 2.9403
Co 0.0000 -1.2578 6.6371
Co 0.0000 0.0000 4.4922
Co 0.0000 1.2578 6.6371
Co 4.0295 0.0000 1.5000

8
Lattice="-2.2470 2.2470 4.3861 2.2470 -2.2470 4.3861 2.2470 2.2470 -4.3861" Properties=species:S:1:pos:R:3 comment="MnZnN2 (PBE, relaxed)" energy_mp2020_ev_per_atom=-7.02 e_tot_ev_per_cell=-54.7 vol_a3_per_cell=88.6 magnetic_moment_mub_per_cell=2.24 delta_e_f_mev_per_atom=-241.7 pbc="T T T"
Mn 0.0000 0.0000 0.0000
Mn 0.0000 2.2470 2.1930
Zn 2.2470 0.0000 2.1930
Zn 0.0000 0.0000 4.3861
N 1.1235 0.9263 -1.0965
N 1.3207 -1.1235 5.4826
N 1.1235 1.3207 3.2895
N 0.9263 3.3705 1.0965

14
Lattice="0.0000 5.4008 5.4008 5.4008 0.0000 5.4008 5.4008 5.4008 0.0000" Properties=species:S:1:pos:R:3 comment="MnIn2S4 (PBE, relaxed)" energy_mp2020_ev_per_atom=-5.31 e_tot_ev_per_cell=-70.4 vol_a3_per_cell=315.1 delta_e_f_mev_per_atom=-855.5 pbc="T T T"
Mn 1.3502 1.3502 1.3502
Mn 9.4513 9.4513 9.4513
In 5.4008 2.7004 2.7004
In 2.7004 5.4008 2.7004
In 2.7004 2.7004 5.4008
In 5.4008 5.4008 5.4008
S 2.7537 2.7537 2.7537
S 5.3475 5.3475 2.7537
S 5.3475 2.7537 5.3475
S 8.0479 5.4541 5.4541
S 2.7537 5.3475 5.3475
S 5.4541 8.0479 5.4541
S 5.4541 5.4541 8.0479
S 8.0479 8.0479 8.0479

72
Lattice="14.3484 0.0000 0.0000 0.0000 14.3484 0.0000 0.0000 0.0000 14.3484" Properties=species:S:1:pos:R:3 comment="Cs9Fe2Se7 (PBE, relaxed)" energy_mp2020_ev_per_atom=-3.86 e_tot_ev_per_cell=-264.6 vol_a3_per_cell=2954.0 magnetic_moment_mub_per_cell=36.00 delta_e_f_mev_per_atom=-1110.3 pbc="T T T"
Cs 0.0306 4.2813 11.9507
Cs 0.6158 11.3762 2.5358
Cs 0.8410 0.8410 0.8410
Cs 1.1880 8.3622 13.1604
Cs 2.3977 7.2048 2.8929
Cs 2.5358 0.6158 11.3762
Cs 2.8929 2.3977 7.2048
Cs 2.9722 9.7100 6.5584
Cs 3.4221 3.4221 3.4221
Cs 3.7521 10.9263 10.5963
Cs 4.2020 4.6384 13.7326
Cs 4.2813 11.9507 0.0306
Cs 4.6384 13.7326 4.2020
Cs 4.7765 7.1436 10.0671
Cs 5.9862 5.9862 5.9862
Cs 6.3332 13.5074 8.0152
Cs 6.5584 2.9722 9.7100
Cs 7.1436 10.0671 4.7765
Cs 7.2048 2.8929 2.3977
Cs 7.7900 10.1464 11.8126
Cs 8.0152 6.3332 13.5074
Cs 8.3622 13.1604 1.1880
Cs 9.5719 14.3178 11.4555
Cs 9.7100 6.5584 2.9722
Cs 10.0671 4.7765 7.1436
Cs 10.1464 11.8126 7.7900
Cs 10.5963 3.7521 10.9263
Cs 10.9263 10.5963 3.7521
Cs 11.3762 2.5358 0.6158
Cs 11.4555 9.5719 14.3178
Cs 11.8126 7.7900 10.1464
Cs 11.9507 0.0306 4.2813
Cs 13.1604 1.1880 8.3622
Cs 13.5074 8.0152 6.3332
Cs 13.7326 4.2020 4.6384
Cs 14.3178 11.4555 9.5719
Fe 1.0126 13.3358 6.1616
Fe 1.4376 5.7366 8.6118
Fe 5.7366 8.6118 1.4376
Fe 6.1616 1.0126 13.3358
Fe 8.1868 8.1868 8.1868
Fe 8.6118 1.4376 5.7366
Fe 12.9108 12.9108 12.9108
Fe 13.3358 6.1616 1.0126
Se 0.7475 4.5555 1.1060
Se 0.8428 12.0172 13.0838
Se 1.1060 0.7475 4.5555
Se 1.2646 8.0170 9.5054
Se 2.3312 5.9096 6.3314
Se 2.6187 13.2424 7.9217
Se 2.8841 4.2901 10.0583
Se 4.2901 10.0583 2.8841
Se 4.5555 1.1060 0.7475
Se 4.8430 8.4388 13.5056
Se 5.9096 6.3314 2.3312
Se 6.0682 13.6009 11.7297
Se 6.3314 2.3312 5.9096
Se 6.4267 9.7929 8.2802
Se 7.9217 2.6187 13.2424
Se 8.0170 9.5054 1.2646
Se 8.2802 6.4267 9.7929
Se 8.4388 13.5056 4.8430
Se 9.5054 1.2646 8.0170
Se 9.7929 8.2802 6.4267
Se 10.0583 2.8841 4.2901
Se 11.4643 11.4643 11.4643
Se 11.7297 6.0682 13.6009
Se 12.0172 13.0838 0.8428
Se 13.0838 0.8428 12.0172
Se 13.2424 7.9217 2.6187
Se 13.5056 4.8430 8.4388
Se 13.6009 11.7297 6.0682

111
Lattice="8.9751 0.0000 0.0000 4.4736 7.7947 0.0000 0.0012 0.0115 22.9618" Properties=species:S:1:pos:R:3 comment="Na9Ca5Ta7P18O72 (PBE, relaxed)" energy_mp2020_ev_per_atom=-7.95 e_tot_ev_per_cell=-833.5 vol_a3_per_cell=1606.4 magnetic_moment_mub_per_cell=0.00 delta_e_f_mev_per_atom=-2921.9 pbc="T T T"
Na 0.0000 0.0000 0.0000
Na 0.0253 0.0340 11.0872
Na 3.1844 5.3274 9.3154
Na 4.4576 2.6308 7.2861
Na 4.4814 2.6089 18.9297
Na 5.7838 0.1237 5.5002
Na 8.9101 5.3240 14.9729
Na 8.9320 5.1099 3.4131
Na 10.2670 2.7422 13.1407
Ca 0.0754 0.0646 7.9405
Ca 4.4410 2.6625 4.1029
Ca 4.5074 2.6151 15.8014
Ca 8.9041 5.2605 11.7857
Ca 8.9721 5.2079 0.1717
Ta 0.0069 0.0174 19.4602
Ta 4.4541 7.7640 14.6753
Ta 0.0286 0.0076 3.2532
Ta 4.4884 2.6144 22.4750
Ta 4.5331 2.5654 10.8960
Ta 8.9222 5.1701 7.0658
Ta 8.9726 5.2019 18.5623
P 1.8032 2.5324 1.7912
P 3.2481 4.8825 13.2834
P 5.8415 5.6476 17.1373
P 7.1386 7.7109 5.6130
P 5.7603 4.9599 1.8006
P 3.1370 0.3727 13.3336
P 7.6633 7.5491 20.8641
P 6.3052 5.1153 9.4480
P 7.1034 2.5324 13.3207
P 5.8843 0.3208 1.8460
P 10.2162 7.5193 9.4216
P 7.6094 2.9023 20.8681
P 7.7267 2.3202 5.6103
P 10.9016 7.7023 17.1393
P 10.3586 2.9410 9.5169
P 11.6516 5.1764 20.8666
P 10.1586 2.2760 17.1162
P 12.0705 5.5380 5.6852
O 3.6504 6.3616 20.4957
O 0.8977 1.5363 9.3609
O 3.5676 6.1433 6.9825
O 1.0203 1.1471 1.8916
O 3.9723 6.3004 13.4513
O 2.6156 2.6783 3.0334
O 3.4930 4.0365 14.4900
O 3.5833 4.1314 5.5263
O 2.6728 2.4193 17.1756
O 1.5150 0.3714 13.4229
O 2.9910 2.9519 9.5713
O 3.5500 3.8928 20.9926
O 4.9520 6.3286 1.9148
O 3.8756 4.1951 11.9730
O 2.8422 2.3767 0.5054
O 5.3172 6.4671 18.3316
O 1.6759 0.0142 20.4933
O 5.2627 6.1948 9.2854
O 5.5206 6.5094 15.8503
O 1.8815 0.1234 6.8605
O 6.1568 7.5676 4.3495
O 3.4366 1.3078 12.0464
O 5.0970 4.1405 0.5112
O 5.2100 4.2926 17.1760
O 3.6523 1.0434 14.5654
O 5.4971 4.1655 3.0367
O 3.7128 0.9970 5.4492
O 3.8626 1.1547 20.9895
O 5.4955 3.7391 9.5714
O 7.6747 6.7320 22.1064
O 7.0959 5.3180 10.6979
O 8.0628 6.7486 13.1914
O 7.2115 5.2253 1.5588
O 7.4084 5.5839 17.2983
O 7.9515 6.3323 5.7475
O 5.0011 1.1191 9.6090
O 7.2869 4.9714 8.1854
O 8.3292 6.7486 19.6482
O 6.0612 2.7804 20.9981
O 5.4837 1.3229 0.5799
O 6.2874 2.7302 14.5519
O 6.2421 2.5353 5.4221
O 6.1545 2.3671 12.0331
O 5.3817 0.9110 3.1342
O 5.5656 1.1278 17.1732
O 9.5782 6.8018 8.1282
O 7.9551 3.8792 19.6485
O 9.8353 6.7353 1.5843
O 8.1622 3.5983 13.1414
O 10.0048 6.6690 10.6313
O 8.4736 3.7111 5.7763
O 8.3146 3.3287 22.1064
O 10.0662 6.3742 17.2977
O 7.9236 1.4868 6.8344
O 11.7039 7.7436 9.2580
O 7.9385 1.1556 13.4418
O 10.4620 5.5422 5.7523
O 7.4732 0.3146 1.9128
O 8.1462 1.4647 20.4952
O 9.4315 3.6666 17.3100
O 11.8694 7.7455 18.3359
O 8.3819 1.5661 4.3437
O 11.8099 7.5438 15.8548
O 9.8241 3.6616 1.5621
O 10.9329 5.5746 22.1075
O 9.9968 3.9199 8.2785
O 10.6263 4.9933 19.6489
O 10.7343 5.1219 13.1220
O 9.8844 3.5437 10.8159
O 9.5812 1.5977 15.8138
O 12.4186 6.5231 4.4473
O 9.7041 1.3990 18.3044